A plane-wave DFT calculation with PBE was carried out for Ba2CuH6 after structural relaxation.

Output
* formation enthalpy at 0 K: -0.413 eV per atom
* M_tot: 0.000 μB/atom
* mass density: 4.550 g/cm³
* space-group type: Cmce
* E (MP2020): -0.131 hartree per atom

Cell lengths 7.8893, 7.8893, 5.8558 Å; angles 90.00, 90.00, 136.41 degrees
Sites, in units of the cell vectors:
1 Ba 0.6418 0.3582 0.0000
2 Ba 0.1418 0.8582 0.5000
3 Ba 0.8582 0.1418 0.5000
4 Ba 0.3582 0.6418 0.0000
5 Cu 0.5000 0.5000 0.5000
6 Cu 0.0000 0.0000 0.0000
7 H 0.2918 0.2918 0.2929
8 H 0.4997 0.9997 0.7500
9 H 0.8910 0.1090 0.0000
10 H 0.0003 0.5003 0.2500
11 H 0.7919 0.7919 0.2071
12 H 0.9997 0.4997 0.7500
13 H 0.5003 0.0003 0.2500
14 H 0.6090 0.3910 0.5000
15 H 0.2082 0.2082 0.7929
16 H 0.7081 0.7081 0.7071
17 H 0.3910 0.6090 0.5000
18 H 0.1090 0.8910 0.0000